{
  "formula": "MgVBiO5",
  "functional": "GGA+U",
  "state": "optimized geometry",
  "lattice_angstrom": [[11.711, 0.000, 0.000], [0.000, 5.402, 0.000], [0.000, 3.095, 7.382]],
  "species": ["O", "Mg", "O", "O", "V", "Mg", "O", "O", "O", "Mg", "Bi", "V", "O", "O", "O", "Bi", "O", "V", "O", "Mg", "O", "O", "O", "V", "Bi", "Bi", "O", "O", "O", "O", "O", "O"],
  "frac_coords": [[0.714, 0.675, 0.516], [0.579, 0.450, 0.677], [0.568, 0.703, 0.826], [0.432, 0.297, 0.174], [0.148, 0.187, 0.529], [0.079, 0.550, 0.823], [0.428, 0.248, 0.828], [0.214, 0.325, 0.984], [0.286, 0.325, 0.484], [0.921, 0.450, 0.177], [0.905, 0.059, 0.824], [0.648, 0.813, 0.971], [0.072, 0.248, 0.328], [0.527, 0.241, 0.514], [0.027, 0.759, 0.986], [0.405, 0.941, 0.676], [0.068, 0.297, 0.674], [0.852, 0.813, 0.471], [0.928, 0.752, 0.672], [0.421, 0.550, 0.323], [0.675, 0.151, 0.863], [0.932, 0.703, 0.326], [0.175, 0.849, 0.637], [0.352, 0.187, 0.029], [0.095, 0.941, 0.176], [0.595, 0.059, 0.324], [0.325, 0.849, 0.137], [0.825, 0.151, 0.363], [0.473, 0.759, 0.486], [0.973, 0.241, 0.014], [0.786, 0.675, 0.016], [0.572, 0.752, 0.172]],
  "relative_energy_mev_per_atom": 0,
  "total_magnetization_mub_per_cell": 0.00,
  "e_tot_ev_per_atom": -6.6805,
  "ef_ev_per_atom": -2.408
}